No. 1
Entry from the Materials Project: crystalline CaTcO3 at its relaxed geometry (PBE).

As for the symmetry: R3c. The uncorrected energy is -7.475 eV/atom. The formation energy is -2.45 eV/atom.

Cell lengths 5.499, 5.499, 5.499 Å; angles 60.72, 60.72, 60.72 degrees
Positions (direct):
Ca  0.000  0.000  0.000
Ca  0.500  0.500  0.500
Tc  0.260  0.260  0.260
Tc  0.760  0.760  0.760
O  0.015  0.429  0.593
O  0.093  0.929  0.515
O  0.429  0.593  0.015
O  0.515  0.093  0.929
O  0.593  0.015  0.429
O  0.929  0.515  0.093

No. 2
Entry from the Materials Project: crystalline Mg7Si4 at its relaxed geometry (PBE).

As for the symmetry: P1. The uncorrected energy is -2.919 eV/atom. The formation energy is 0.10 eV/atom.

Cell lengths 5.372, 6.132, 13.620 Å; angles 99.95, 96.80, 90.01 degrees
Positions (direct):
Mg  0.000  0.000  0.000
Mg  0.001  0.300  0.558
Mg  0.042  0.887  0.213
Mg  0.144  0.518  0.025
Mg  0.489  0.148  0.903
Mg  0.491  0.022  0.493
Mg  0.501  0.541  0.517
Mg  0.516  0.938  0.116
Mg  0.566  0.656  0.913
Mg  0.614  0.349  0.707
Mg  0.679  0.444  0.131
Mg  0.683  0.247  0.325
Mg  0.732  0.856  0.711
Mg  0.992  0.782  0.506
Si  0.033  0.615  0.837
Si  0.190  0.261  0.372
Si  0.202  0.296  0.185
Si  0.222  0.056  0.698
Si  0.246  0.630  0.336
Si  0.246  0.664  0.696
Si  0.684  0.745  0.320
Si  0.988  0.220  0.838

- The lowest uncorrected energy belongs to which entry?
  CaTcO3

What did the first record say?
Entry from the Materials Project: crystalline CaTcO3 at its relaxed geometry (PBE).

As for the symmetry: R3c. The uncorrected energy is -7.475 eV/atom. The formation energy is -2.45 eV/atom.

Cell lengths 5.499, 5.499, 5.499 Å; angles 60.72, 60.72, 60.72 degrees
Positions (direct):
Ca  0.000  0.000  0.000
Ca  0.500  0.500  0.500
Tc  0.260  0.260  0.260
Tc  0.760  0.760  0.760
O  0.015  0.429  0.593
O  0.093  0.929  0.515
O  0.429  0.593  0.015
O  0.515  0.093  0.929
O  0.593  0.015  0.429
O  0.929  0.515  0.093

- uncorrected energy of number 2 (Mg7Si4)?
  -2.919 eV/atom

- The highest uncorrected energy belongs to which entry?
  Mg7Si4